A geometry-optimized NiH2S4N4 structure, computed with PBE.

Unit cell a=8.4584 b=12.6934 c=13.8734 alpha=90.00 beta=90.00 gamma=90.00
Atoms (fractional coordinates):
Ni (0.0235, 0.0713, 0.3755)
Ni (0.5235, 0.4287, 0.6245)
Ni (0.9765, 0.5713, 0.1245)
Ni (0.4765, 0.9287, 0.8755)
Ni (0.9765, 0.9287, 0.6245)
Ni (0.4765, 0.5713, 0.3755)
Ni (0.0235, 0.4287, 0.8755)
Ni (0.5235, 0.0713, 0.1245)
H (0.2899, 0.9672, 0.3933)
H (0.7899, 0.5328, 0.6067)
H (0.7101, 0.4672, 0.1067)
H (0.2101, 0.0328, 0.8933)
H (0.7101, 0.0328, 0.6067)
H (0.2101, 0.4672, 0.3933)
H (0.2899, 0.5328, 0.8933)
H (0.7899, 0.9672, 0.1067)
H (0.0423, 0.8660, 0.3576)
H (0.5423, 0.6340, 0.6424)
H (0.9577, 0.3660, 0.1424)
H (0.4577, 0.1340, 0.8576)
H (0.9577, 0.1340, 0.6424)
H (0.4577, 0.3660, 0.3576)
H (0.0423, 0.6340, 0.8576)
H (0.5423, 0.8660, 0.1424)
S (0.0825, 0.2347, 0.3737)
S (0.5825, 0.2653, 0.6263)
S (0.9175, 0.7347, 0.1263)
S (0.4175, 0.7653, 0.8737)
S (0.9175, 0.7653, 0.6263)
S (0.4175, 0.7347, 0.3737)
S (0.0825, 0.2653, 0.8737)
S (0.5825, 0.2347, 0.1263)
S (0.7806, 0.1113, 0.3883)
S (0.2806, 0.3887, 0.6117)
S (0.2194, 0.6113, 0.1117)
S (0.7194, 0.8887, 0.8883)
S (0.2194, 0.8887, 0.6117)
S (0.7194, 0.6113, 0.3883)
S (0.7806, 0.3887, 0.8883)
S (0.2806, 0.1113, 0.1117)
S (0.3724, 0.1313, 0.3775)
S (0.8724, 0.3687, 0.6225)
S (0.6276, 0.6313, 0.1225)
S (0.1276, 0.8687, 0.8775)
S (0.6276, 0.8687, 0.6225)
S (0.1276, 0.6313, 0.3775)
S (0.3724, 0.3687, 0.8775)
S (0.8724, 0.1313, 0.1225)
S (0.7820, 0.8951, 0.3611)
S (0.2820, 0.6049, 0.6389)
S (0.2180, 0.3951, 0.1389)
S (0.7180, 0.1049, 0.8611)
S (0.2180, 0.1049, 0.6389)
S (0.7180, 0.3951, 0.3611)
S (0.7820, 0.6049, 0.8611)
S (0.2820, 0.8951, 0.1389)
N (0.2404, 0.0399, 0.3810)
N (0.7404, 0.4601, 0.6190)
N (0.7596, 0.5399, 0.1190)
N (0.2596, 0.9601, 0.8810)
N (0.7596, 0.9601, 0.6190)
N (0.2596, 0.5399, 0.3810)
N (0.2404, 0.4601, 0.8810)
N (0.7404, 0.0399, 0.1190)
N (0.2795, 0.2378, 0.3745)
N (0.7795, 0.2622, 0.6255)
N (0.7205, 0.7378, 0.1255)
N (0.2205, 0.7622, 0.8745)
N (0.7205, 0.7622, 0.6255)
N (0.2205, 0.7378, 0.3745)
N (0.2795, 0.2622, 0.8745)
N (0.7795, 0.2378, 0.1255)
N (0.9652, 0.9296, 0.3596)
N (0.4652, 0.5704, 0.6404)
N (0.0348, 0.4296, 0.1404)
N (0.5348, 0.0704, 0.8596)
N (0.0348, 0.0704, 0.6404)
N (0.5348, 0.4296, 0.3596)
N (0.9652, 0.5704, 0.8596)
N (0.4652, 0.9296, 0.1404)
N (0.6842, 0.9983, 0.3752)
N (0.1842, 0.5017, 0.6248)
N (0.3158, 0.4983, 0.1248)
N (0.8158, 0.0017, 0.8752)
N (0.3158, 0.0017, 0.6248)
N (0.8158, 0.4983, 0.3752)
N (0.6842, 0.5017, 0.8752)
N (0.1842, 0.9983, 0.1248)

Values from the calculation:
Energy relative to the elements in eV per atom: 0.02
DFT total energy in eV per cell: -486.05
Volume in Å³/f.u.: 186.2